## Li5Fe8B8O24 (PBE with a Hubbard U)

Data for a geometry-optimized Li5Fe8B8O24 structure.

Geometry as CIF:
```
data_Li5Fe8B8O24
_cell_length_a 5.220
_cell_length_b 9.123
_cell_length_c 10.126
_cell_angle_alpha 91.06
_cell_angle_beta 90.54
_cell_angle_gamma 90.13
_space_group_name_H-M_alt 'P 1'
_space_group_IT_number 1
loop_
_space_group_symop_operation_xyz
'x,y,z'
loop_
_atom_site_label
_atom_site_type_symbol
_atom_site_fract_x
_atom_site_fract_y
_atom_site_fract_z
O1 O 0.319 0.953 0.920
O2 O 0.088 0.170 0.147
B1 B 0.173 0.835 0.875
O3 O 0.409 0.997 0.349
O4 O 0.412 0.335 0.860
O5 O 0.224 0.132 0.607
Fe1 Fe 0.828 0.504 0.135
O6 O 0.904 0.509 0.328
Li1 Li 0.171 0.165 0.399
Li2 Li 0.346 0.322 0.668
Fe2 Fe 0.660 0.349 0.388
O7 O 0.722 0.632 0.642
O8 O 0.284 0.370 0.367
B2 B 0.829 0.176 0.128
O9 O 0.195 0.532 0.100
O10 O 0.819 0.878 0.378
O11 O 0.210 0.869 0.585
Fe3 Fe 0.847 0.165 0.630
Fe4 Fe 0.671 0.016 0.883
O12 O 0.785 0.137 0.416
B3 B 0.339 0.998 0.624
O13 O 0.098 0.483 0.662
B4 B 0.670 0.336 0.880
Fe5 Fe 0.171 0.495 0.878
Fe6 Fe 0.348 0.656 0.626
O14 O 0.277 0.630 0.418
Fe7 Fe 0.315 0.995 0.127
B5 B 0.838 0.498 0.633
O15 O 0.907 0.849 0.862
Li3 Li 0.846 0.828 0.653
O16 O 0.799 0.462 0.929
B6 B 0.335 0.661 0.131
O17 O 0.690 0.304 0.162
Li4 Li 0.316 0.331 0.157
O18 O 0.808 0.210 0.844
B7 B 0.158 0.503 0.372
B8 B 0.674 0.003 0.379
O19 O 0.689 0.057 0.078
O20 O 0.210 0.785 0.178
Fe8 Fe 0.169 0.828 0.375
O21 O 0.590 0.990 0.676
O22 O 0.695 0.373 0.596
Li5 Li 0.660 0.676 0.905
O23 O 0.294 0.704 0.844
O24 O 0.595 0.660 0.108
```

Results
Excess energy over the best structure of this formula in the dataset ... 8 meV per atom
Magnetic moment ... 35.0 μB per formula unit
Formation enthalpy at 0 K ... -102.74 eV/f.u.